Record 1
VASP calculation (PBE) on an optimized crystal structure of Nd2Ge5Ir3.

Geometry as extended XYZ:
```
20
Lattice="-3.053 5.161 5.999 3.053 -5.161 5.999 3.053 5.161 -5.999" Properties=species:S:1:pos:R:3 pbc="T T T"
Ge 3.053 1.661 1.188
Ge 3.053 -3.500 4.811
Ge 1.527 5.161 0.000
Ge 4.580 0.000 2.685
Ge 0.000 3.500 4.811
Ge 1.527 0.000 5.999
Ge 1.527 5.161 3.314
Ge -1.527 5.161 3.314
Ge 1.527 0.000 2.685
Ge 0.000 8.661 1.188
Ir 3.053 4.029 1.699
Ir 0.000 6.293 1.699
Ir 1.527 0.000 0.000
Ir 4.580 0.000 0.000
Ir 0.000 1.132 4.300
Ir 3.053 -1.132 4.299
Nd 3.053 2.343 4.391
Nd 3.053 2.818 -1.608
Nd 0.000 2.818 1.608
Nd 0.000 2.343 7.607
```

Computed properties:
total magnetic moment = 0.0 μB/cell

Record 2
VASP calculation (PBE) on an optimized crystal structure of NdGeIr.

Geometry as extended XYZ:
```
12
Lattice="-1.431 -0.776 -4.168 3.171 -6.433 0.110 -6.419 -3.117 2.784" Properties=species:S:1:pos:R:3 pbc="T T T"
Ge -4.777 -7.820 -0.506
Ge 0.098 -2.505 -0.768
Ge -0.423 -6.745 0.201
Ge -4.256 -3.581 -1.475
Nd -3.307 -5.496 0.958
Nd -2.306 -1.297 -2.570
Nd -1.372 -4.830 -2.232
Nd -2.373 -9.029 1.296
Ir -2.387 -2.749 0.130
Ir -5.975 -5.379 -0.550
Ir -2.292 -7.577 -1.405
Ir 1.296 -4.947 -0.724
```

Record 3
VASP calculation (PBE) on an optimized crystal structure of Nd3Ge13Ir4.

Geometry as extended XYZ:
```
40
Lattice="-8.326 -2.844 2.426 3.408 -3.347 7.777 -1.534 8.001 4.115" Properties=species:S:1:pos:R:3 pbc="T T T"
Nd -7.012 1.868 3.877
Nd 1.321 0.327 4.917
Nd -2.848 3.290 2.664
Nd 0.554 4.327 6.975
Nd -3.311 -2.258 3.157
Nd -1.607 -3.932 7.045
Ir -4.072 -2.642 8.681
Ir 0.091 -1.221 7.468
Ir -6.543 3.031 6.850
Ir -4.839 1.358 10.738
Ir -2.380 4.453 5.637
Ir -0.676 2.780 9.525
Ir -5.776 -0.969 4.792
Ir -1.613 0.453 3.579
Ge -7.090 4.856 5.197
Ge 0.030 1.956 2.396
Ge -0.181 1.285 7.555
Ge -0.566 5.065 3.995
Ge 1.148 -2.739 5.754
Ge -0.176 -1.439 2.733
Ge -4.913 2.935 8.772
Ge -1.539 -1.125 5.546
Ge -6.270 0.526 6.762
Ge -1.179 2.264 5.279
Ge -2.476 3.768 8.062
Ge 1.845 2.698 9.496
Ge -5.273 -0.454 9.038
Ge -6.005 -0.803 2.286
Ge -3.226 0.905 7.159
Ge -4.043 0.758 4.179
Ge -2.408 1.053 10.138
Ge -4.742 -4.751 7.470
Ge -6.066 -3.451 4.448
Ge -1.959 -1.288 8.934
Ge -3.975 -1.957 6.256
Ge 0.000 0.000 0.000
Ge -3.855 5.961 4.254
Ge -4.492 3.099 5.383
Ge -2.770 0.301 1.344
Ge 2.441 -0.411 7.897
```

Computed properties:
total magnetic moment = 0.0 μB/cell

Record 4
VASP calculation (PBE) on an optimized crystal structure of PrGe2Ir.

Geometry as extended XYZ:
```
16
Lattice="-1.099 -0.488 4.253 -1.576 -8.840 -1.422 9.129 2.982 0.406" Properties=species:S:1:pos:R:3 pbc="T T T"
Ge 5.772 -5.836 0.822
Ge 3.597 -4.287 2.734
Ge 0.681 -0.510 2.414
Ge 3.351 0.719 0.949
Ge 3.102 -7.064 2.287
Ge 2.856 -2.059 0.502
Ge 6.575 -1.419 1.537
Ge -0.122 -4.927 1.700
Ir 5.915 1.042 1.649
Ir 1.335 -2.921 2.306
Ir 5.119 -3.425 0.930
Ir 0.538 -7.388 1.588
Pr 2.448 -5.119 0.045
Pr 4.005 -1.227 3.191
Pr -0.417 -2.340 -0.376
Pr -1.159 -6.500 -1.046
```

Computed properties:
total magnetic moment = 0.0 μB/cell

| no. | formation energy (eV/atom) | total energy (eV per cell) |
| --- | --- | --- |
| 1 | -0.75 | -133.34 |
| 2 | -0.83 | -82.82 |
| 3 | -0.51 | -240.09 |
| 4 | -0.79 | -104.12 |